(1)
Computed, not measured: crystalline CdH10C8O12 at its relaxed geometry at the PBE level of DFT.

Cell: 5.375 8.015 9.170 Å, 69.83 79.48 70.12°
Element x y z (fractional)
1 Cd 0.500 0.500 0.000
2 H 0.500 0.500 0.500
3 H 0.500 0.000 0.500
4 H 0.583 0.869 0.870
5 H 0.417 0.131 0.130
6 H 0.685 0.794 0.037
7 H 0.315 0.206 0.963
8 H 0.974 0.285 0.147
9 H 0.026 0.715 0.853
10 H 0.748 0.337 0.280
11 H 0.252 0.663 0.720
12 C 0.904 0.324 0.712
13 C 0.096 0.676 0.288
14 C 0.875 0.306 0.563
15 C 0.125 0.694 0.437
16 C 0.137 0.174 0.565
17 C 0.863 0.826 0.435
18 C 0.173 0.186 0.717
19 C 0.827 0.814 0.283
20 O 0.764 0.421 0.795
21 O 0.236 0.579 0.205
22 O 0.694 0.383 0.465
23 O 0.306 0.617 0.535
24 O 0.275 0.090 0.467
25 O 0.725 0.910 0.533
26 O 0.353 0.116 0.809
27 O 0.647 0.884 0.191
28 O 0.692 0.755 0.943
29 O 0.308 0.245 0.057
30 O 0.783 0.304 0.182
31 O 0.217 0.696 0.818

SG	No. 2

=====

(2)
Computed, not measured: crystalline CdH4C4O6 at its relaxed geometry at the PBE level of DFT.

Cell: 12.260 6.490 8.329 Å, 77.53 90.00 90.00°
Element x y z (fractional)
1 Cd 0.132 0.177 0.773
2 Cd 0.632 0.323 0.227
3 Cd 0.868 0.823 0.227
4 Cd 0.368 0.677 0.773
5 H 0.944 0.261 0.949
6 H 0.444 0.239 0.051
7 H 0.056 0.739 0.051
8 H 0.556 0.761 0.949
9 H 0.909 0.324 0.757
10 H 0.409 0.176 0.243
11 H 0.091 0.676 0.243
12 H 0.591 0.824 0.757
13 H 0.359 0.145 0.747
14 H 0.859 0.355 0.253
15 H 0.641 0.855 0.253
16 H 0.141 0.645 0.747
17 H 0.309 0.106 0.576
18 H 0.809 0.394 0.424
19 H 0.691 0.894 0.424
20 H 0.191 0.606 0.576
21 C 0.094 0.197 0.387
22 C 0.594 0.303 0.613
23 C 0.906 0.803 0.613
24 C 0.406 0.697 0.387
25 C 0.204 0.174 0.322
26 C 0.704 0.326 0.678
27 C 0.796 0.826 0.678
28 C 0.296 0.674 0.322
29 C 0.157 0.166 0.161
30 C 0.657 0.334 0.839
31 C 0.843 0.834 0.839
32 C 0.343 0.666 0.161
33 C 0.047 0.184 0.228
34 C 0.547 0.316 0.772
35 C 0.953 0.816 0.772
36 C 0.453 0.684 0.228
37 O 0.055 0.218 0.522
38 O 0.555 0.282 0.478
39 O 0.945 0.782 0.478
40 O 0.445 0.718 0.522
41 O 0.299 0.161 0.381
42 O 0.799 0.339 0.619
43 O 0.701 0.839 0.619
44 O 0.201 0.661 0.381
45 O 0.199 0.144 0.027
46 O 0.699 0.356 0.973
47 O 0.801 0.856 0.973
48 O 0.301 0.644 0.027
49 O 0.949 0.182 0.173
50 O 0.449 0.318 0.827
51 O 0.051 0.818 0.827
52 O 0.551 0.682 0.173
53 O 0.971 0.316 0.835
54 O 0.471 0.184 0.165
55 O 0.029 0.684 0.165
56 O 0.529 0.816 0.835
57 O 0.306 0.056 0.701
58 O 0.806 0.444 0.299
59 O 0.694 0.944 0.299
60 O 0.194 0.556 0.701

SG	No. 14
relative energy among the computed polymorphs	1.1	kJ/mol of atoms

=====

(3)
Computed, not measured: crystalline CdH2C2O4 at its relaxed geometry at the PBE level of DFT.

Cell: 6.829 6.829 12.621 Å, 69.69 69.69 55.50°
Element x y z (fractional)
1 Cd 0.176 0.193 0.449
2 Cd 0.807 0.824 0.051
3 Cd 0.824 0.807 0.551
4 Cd 0.193 0.176 0.949
5 H 0.828 0.930 0.274
6 H 0.070 0.172 0.226
7 H 0.172 0.070 0.726
8 H 0.930 0.828 0.774
9 H 0.447 0.496 0.638
10 H 0.504 0.553 0.862
11 H 0.553 0.504 0.362
12 H 0.496 0.447 0.138
13 C 0.934 0.730 0.289
14 C 0.270 0.066 0.211
15 C 0.066 0.270 0.711
16 C 0.730 0.934 0.789
17 C 0.368 0.687 0.591
18 C 0.313 0.632 0.909
19 C 0.632 0.313 0.409
20 C 0.687 0.368 0.091
21 O 0.995 0.623 0.387
22 O 0.377 0.005 0.113
23 O 0.005 0.377 0.613
24 O 0.623 0.995 0.887
25 O 0.986 0.622 0.211
26 O 0.378 0.014 0.289
27 O 0.014 0.378 0.789
28 O 0.622 0.986 0.711
29 O 0.172 0.785 0.557
30 O 0.215 0.828 0.943
31 O 0.828 0.215 0.443
32 O 0.785 0.172 0.057
33 O 0.471 0.805 0.574
34 O 0.195 0.529 0.926
35 O 0.529 0.195 0.426
36 O 0.805 0.471 0.074

SG	No. 15

=====

Energy of formation from the pure elements values, unit eV per atom, following the record order: -1.062 -1.088 -1.263.